LiLaNdSbO6 | the Materials Project database | PBE-GGA | optimized geometry; DFT formation energy = -3032 meV per atom; energy = -7.163 eV/atom; magnetic moment = 0.000 μB per formula unit
1.0
5.6150 0.0000 0.0000
0.0391 5.7931 0.0000
0.0486 0.0027 8.0444
Li La Nd Sb O
2 2 2 2 12
direct
0.0000 0.0000 0.0000
0.5000 0.5000 0.5000
0.0145 0.4488 0.7513
0.9855 0.5512 0.2487
0.4846 0.9453 0.7490
0.5154 0.0547 0.2510
0.0000 0.0000 0.5000
0.5000 0.5000 0.0000
0.1061 0.9696 0.2618
0.1927 0.7158 0.5564
0.2126 0.6954 0.9515
0.2860 0.1913 0.5532
0.3138 0.2143 0.9427
0.4031 0.4606 0.2390
0.5969 0.5394 0.7610
0.6862 0.7857 0.0573
0.7140 0.8087 0.4468
0.7874 0.3046 0.0485
0.8073 0.2842 0.4436
0.8939 0.0304 0.7382

Li2La4O7 | the Materials Project database | PBE-GGA | optimized geometry; DFT formation energy = -3001 meV per atom; energy = -7.108 eV/atom; magnetic moment = 0.001 μB per formula unit
1.0
6.3678 0.0000 0.0000
-3.1839 5.5147 0.0000
0.0000 0.0000 7.5152
Li La O
2 4 7
direct
0.3333 0.6667 0.0000
0.6667 0.3333 0.0000
0.0000 0.0000 0.2777
0.0000 0.0000 0.7223
0.3333 0.6667 0.5000
0.6667 0.3333 0.5000
0.0000 0.0000 0.0000
0.0000 0.3645 0.6796
0.0000 0.6355 0.3204
0.3645 0.0000 0.6796
0.3645 0.3645 0.3204
0.6355 0.0000 0.3204
0.6355 0.6355 0.6796

LiLaO2 | the Materials Project database | PBE-GGA | optimized geometry; DFT formation energy = -3173 meV per atom; energy = -7.014 eV/atom; magnetic moment = 0.001 μB per formula unit
1.0
5.9269 0.0000 0.0000
0.0000 6.2392 0.0000
-1.3158 0.0000 5.7464
Li La O
4 4 8
direct
0.1549 0.1389 0.1730
0.1549 0.3611 0.6730
0.8451 0.6389 0.3270
0.8451 0.8611 0.8270
0.3000 0.5684 0.1942
0.3000 0.9316 0.6942
0.7000 0.0684 0.3058
0.7000 0.4316 0.8058
0.0718 0.6322 0.7917
0.0718 0.8678 0.2917
0.4129 0.2394 0.9866
0.4129 0.2606 0.4866
0.5871 0.7394 0.5134
0.5871 0.7606 0.0134
0.9282 0.1322 0.7083
0.9282 0.3678 0.2083

LiLaO2 | the Materials Project database | PBE-GGA | optimized geometry; DFT formation energy = -3181 meV per atom; energy = -7.023 eV/atom
1.0
6.7107 0.0000 0.0000
0.0000 6.2196 0.0000
-3.6103 0.0000 5.9828
Li La O
4 4 8
direct
0.1813 0.1700 0.2841
0.1813 0.3300 0.7841
0.8187 0.6700 0.2159
0.8187 0.8300 0.7159
0.2789 0.6388 0.2380
0.2789 0.8612 0.7380
0.7211 0.1388 0.2620
0.7211 0.3612 0.7620
0.0549 0.5997 0.8178
0.0549 0.9003 0.3178
0.4668 0.1959 0.8572
0.4668 0.3041 0.3572
0.5332 0.6959 0.6428
0.5332 0.8041 0.1428
0.9451 0.0997 0.6822
0.9451 0.4003 0.1822

Li3LaO3 | the Materials Project database | PBE-GGA | optimized geometry; DFT formation energy = -2614 meV per atom; energy = -5.963 eV/atom; magnetic moment = 0.000 μB per formula unit
1.0
6.0728 0.0000 0.0000
-3.0364 5.2592 0.0000
0.0000 0.0000 11.1592
Li La O
12 4 12
direct
0.0585 0.3648 0.0576
0.0585 0.6937 0.4424
0.3063 0.3648 0.4424
0.3063 0.9415 0.0576
0.3648 0.0585 0.5576
0.3648 0.3063 0.9424
0.6352 0.6937 0.0576
0.6352 0.9415 0.4424
0.6937 0.0585 0.9424
0.6937 0.6352 0.5576
0.9415 0.3063 0.5576
0.9415 0.6352 0.9424
0.0000 0.0000 0.2500
0.0000 0.0000 0.7500
0.3333 0.6667 0.7500
0.6667 0.3333 0.2500
0.0356 0.3326 0.8828
0.0356 0.7030 0.6172
0.2970 0.3326 0.6172
0.2970 0.9644 0.8828
0.3326 0.0356 0.3828
0.3326 0.2970 0.1172
0.6674 0.7030 0.8828
0.6674 0.9644 0.6172
0.7030 0.0356 0.1172
0.7030 0.6674 0.3828
0.9644 0.2970 0.3828
0.9644 0.6674 0.1172

LiLaP4O12 | the Materials Project database | PBE-GGA | optimized geometry; DFT formation energy = -2943 meV per atom; energy = -7.367 eV/atom; magnetic moment = 0.000 μB per formula unit
1.0
8.4001 -3.6071 0.0000
8.4001 3.6071 0.0000
-5.9588 0.0000 8.0419
Li La P O
2 2 8 24
direct
0.2030 0.7970 0.7500
0.7970 0.2030 0.2500
0.2984 0.7016 0.2500
0.7016 0.2984 0.7500
0.0844 0.1943 0.1642
0.1934 0.5087 0.4017
0.1943 0.0844 0.6642
0.4913 0.8066 0.0983
0.5087 0.1934 0.9017
0.8057 0.9156 0.3358
0.8066 0.4913 0.5983
0.9156 0.8057 0.8358
0.0394 0.2804 0.5892
0.0607 0.0748 0.2036
0.0748 0.0607 0.7036
0.0988 0.6702 0.9501
0.1600 0.3292 0.3430
0.2547 0.4846 0.2761
0.2804 0.0394 0.0892
0.3268 0.5225 0.5800
0.3292 0.1600 0.8430
0.3298 0.9012 0.5499
0.4775 0.6732 0.9200
0.4846 0.2547 0.7761
0.5154 0.7453 0.2239
0.5225 0.3268 0.0800
0.6702 0.0988 0.4501
0.6708 0.8400 0.1570
0.6732 0.4775 0.4200
0.7196 0.9606 0.9108
0.7453 0.5154 0.7239
0.8400 0.6708 0.6570
0.9012 0.3298 0.0499
0.9252 0.9393 0.2964
0.9393 0.9252 0.7964
0.9606 0.7196 0.4108

LiLa2SbO6 | the Materials Project database | PBE-GGA | optimized geometry; DFT formation energy = -3059 meV per atom; energy = -7.207 eV/atom; magnetic moment = 0.000 μB per formula unit
1.0
5.6588 0.0000 0.0000
0.0000 5.8369 0.0000
-5.6026 0.0000 8.0578
Li La Sb O
2 4 2 12
direct
0.0000 0.0000 0.0000
0.0000 0.5000 0.5000
0.2354 0.0522 0.7488
0.2354 0.4478 0.2488
0.7646 0.5522 0.7512
0.7646 0.9478 0.2512
0.5000 0.0000 0.5000
0.5000 0.5000 0.0000
0.1653 0.1919 0.4516
0.1653 0.3081 0.9516
0.2567 0.7160 0.4453
0.2567 0.7840 0.9453
0.3584 0.0336 0.2605
0.3584 0.4664 0.7605
0.6416 0.5336 0.2395
0.6416 0.9664 0.7395
0.7433 0.2160 0.0547
0.7433 0.2840 0.5547
0.8347 0.6919 0.0484
0.8347 0.8081 0.5484

Li7La3Sn2O12 | the Materials Project database | PBE-GGA | optimized geometry; DFT formation energy = -2705 meV per atom; energy = -6.344 eV/atom; magnetic moment = 0.002 μB per formula unit
1.0
-6.6342 6.6342 6.3088
6.6342 -6.6342 6.3088
6.6342 6.6342 -6.3088
Li La Sn O
28 12 8 48
direct
0.0534 0.8034 0.6068
0.1048 0.2732 0.9939
0.1110 0.1048 0.3316
0.1250 0.8750 0.2500
0.1966 0.3034 0.2500
0.2207 0.8890 0.4939
0.2268 0.3952 0.5061
0.2732 0.7793 0.1684
0.2793 0.7732 0.6684
0.3034 0.5534 0.1068
0.3750 0.6250 0.7500
0.3890 0.7207 0.9939
0.3952 0.3890 0.1684
0.4466 0.0534 0.7500
0.5534 0.9466 0.2500
0.6048 0.6110 0.8316
0.6110 0.2793 0.0061
0.6250 0.3750 0.2500
0.6966 0.4466 0.8932
0.7207 0.2268 0.3316
0.7268 0.2207 0.8316
0.7732 0.6048 0.4939
0.7793 0.1110 0.5061
0.8034 0.6966 0.7500
0.8750 0.1250 0.7500
0.8890 0.8952 0.6684
0.8952 0.7268 0.0061
0.9466 0.1966 0.3932
0.1229 0.7500 0.8729
0.1250 0.3750 0.7500
0.2500 0.1229 0.8729
0.2500 0.6229 0.3729
0.3750 0.1250 0.2500
0.3771 0.2500 0.6271
0.6229 0.7500 0.3729
0.6250 0.8750 0.7500
0.7500 0.3771 0.6271
0.7500 0.8771 0.1271
0.8750 0.6250 0.2500
0.8771 0.2500 0.1271
0.0000 0.0000 0.0000
0.0000 0.0000 0.5000
0.0000 0.5000 0.0000
0.0000 0.5000 0.5000
0.5000 0.0000 0.0000
0.5000 0.0000 0.5000
0.5000 0.5000 0.0000
0.5000 0.5000 0.5000
0.0175 0.1105 0.6984
0.0243 0.9006 0.8236
0.0770 0.4006 0.3763
0.0878 0.6809 0.1984
0.0994 0.4230 0.1237
0.0989 0.6875 0.4787
0.1105 0.9122 0.0930
0.1202 0.2088 0.5213
0.1809 0.5878 0.6984
0.1875 0.5989 0.9787
0.2007 0.0243 0.6237
0.2088 0.1875 0.0886
0.2912 0.3798 0.9787
0.2993 0.9230 0.8236
0.3125 0.2912 0.4114
0.3191 0.0175 0.4070
0.3798 0.9011 0.0886
0.3895 0.4825 0.8016
0.4006 0.5243 0.3236
0.4011 0.8798 0.5886
0.4122 0.6105 0.5930
0.4230 0.7993 0.3236
0.4757 0.2993 0.8763
0.4825 0.1809 0.0930
0.5175 0.8191 0.9070
0.5243 0.7007 0.1237
0.5770 0.2007 0.6764
0.5878 0.3895 0.4070
0.5989 0.1202 0.4114
0.5994 0.4757 0.6764
0.6105 0.5175 0.1984
0.6202 0.0989 0.9114
0.6809 0.9825 0.5930
0.6875 0.7088 0.5886
0.7007 0.0770 0.1764
0.7088 0.6202 0.0213
0.7912 0.8125 0.9114
0.7993 0.9757 0.3763
0.8125 0.4011 0.0213
0.8191 0.4122 0.3016
0.8798 0.7912 0.4787
0.8895 0.0878 0.9070
0.9011 0.3125 0.5213
0.9006 0.5770 0.8763
0.9122 0.3191 0.8016
0.9230 0.5994 0.6237
0.9757 0.0994 0.1764
0.9825 0.8895 0.3016

Sr3Li3La5O12 | the Materials Project database | PBE-GGA | optimized geometry; DFT formation energy = -3274 meV per atom; energy = -7.039 eV/atom; magnetic moment = 0.003 μB per formula unit
1.0
6.8959 0.0000 0.0000
0.0000 10.7830 0.0000
-0.0098 0.0000 13.5264
Sr Li La O
9 9 15 36
direct
0.0000 0.0000 0.0000
0.0007 0.3334 0.9985
0.0007 0.6666 0.9985
0.3157 0.1610 0.4996
0.3157 0.8390 0.4996
0.3278 0.5000 0.5069
0.5020 0.3331 0.0608
0.5020 0.6669 0.0608
0.5027 0.0000 0.0617
0.0365 0.3382 0.4131
0.0365 0.6618 0.4131
0.2908 0.1653 0.9179
0.2908 0.8347 0.9179
0.2916 0.5000 0.9167
0.5312 0.0000 0.6507
0.7906 0.5000 0.1443
0.7925 0.1680 0.1450
0.7925 0.8320 0.1450
0.1606 0.0000 0.7431
0.1713 0.5000 0.2371
0.1756 0.1640 0.2418
0.1756 0.8360 0.2418
0.1835 0.3328 0.7390
0.1835 0.6672 0.7390
0.6592 0.3340 0.3200
0.6592 0.6660 0.3200
0.6694 0.1693 0.8206
0.6694 0.8307 0.8206
0.6732 0.5000 0.8173
0.6773 0.0000 0.3225
0.8087 0.5000 0.5663
0.8205 0.1712 0.5598
0.8205 0.8288 0.5598
0.0467 0.1671 0.8467
0.0467 0.8329 0.8467
0.0525 0.5000 0.8439
0.0758 0.0000 0.5657
0.0802 0.3326 0.5551
0.0802 0.6674 0.5551
0.2320 0.1663 0.0627
0.2320 0.8337 0.0627
0.2327 0.5000 0.0603
0.2829 0.3324 0.3452
0.2829 0.6676 0.3452
0.3066 0.0000 0.3411
0.3857 0.5000 0.6887
0.3977 0.1532 0.6843
0.3977 0.8468 0.6843
0.4284 0.0000 0.8799
0.4281 0.3314 0.8770
0.4281 0.6686 0.8770
0.5442 0.5000 0.2155
0.5511 0.1670 0.2181
0.5511 0.8330 0.2181
0.6068 0.0000 0.5070
0.6122 0.3362 0.4983
0.6122 0.6638 0.4983
0.7316 0.5000 0.0000
0.7326 0.1672 0.0019
0.7326 0.8328 0.0019
0.7786 0.0000 0.7151
0.8000 0.3348 0.7144
0.8000 0.6652 0.7144
0.8904 0.1803 0.3841
0.8904 0.8197 0.3841
0.9046 0.5000 0.3859
0.9248 0.0000 0.1879
0.9255 0.3354 0.1859
0.9255 0.6646 0.1859

Sr3Li4La5O12 | the Materials Project database | PBE-GGA | optimized geometry; DFT formation energy = -3139 meV per atom; energy = -6.827 eV/atom; magnetic moment = 0.727 μB per formula unit
1.0
6.9867 0.0000 0.0000
0.0000 3.5912 0.0000
-0.0136 0.0000 13.6139
Sr Li La O
3 4 5 12
direct
0.0000 0.0000 0.0000
0.1775 0.5000 0.4413
0.5013 0.0000 0.9384
0.2117 0.5000 0.8553
0.4636 0.0000 0.3524
0.7120 0.5000 0.0856
0.9711 0.0000 0.5896
0.3310 0.5000 0.1767
0.3485 0.0000 0.6783
0.6742 0.5000 0.5039
0.8299 0.5000 0.7638
0.8458 0.0000 0.2625
0.0749 0.0000 0.8174
0.0902 0.5000 0.6207
0.2182 0.0000 0.2846
0.2686 0.5000 0.0017
0.4200 0.0000 0.4932
0.4568 0.5000 0.7894
0.5782 0.0000 0.1275
0.5988 0.5000 0.3239
0.7221 0.0000 0.6500
0.7692 0.5000 0.9437
0.9012 0.0000 0.4444
0.9547 0.5000 0.1578

Sr3Li3La5O12 | the Materials Project database | PBE-GGA | optimized geometry; DFT formation energy = -3273 meV per atom; energy = -7.038 eV/atom; magnetic moment = 0.000 μB per formula unit
1.0
6.9452 0.0000 0.0000
0.0000 3.5940 0.0000
-0.0454 0.0000 13.6556
Sr Li La O
3 3 5 12
direct
0.0000 0.0000 0.0000
0.1680 0.5000 0.5499
0.4804 0.0000 0.0494
0.4567 0.0000 0.6358
0.7037 0.5000 0.9058
0.9631 0.0000 0.3993
0.3222 0.5000 0.8103
0.3238 0.0000 0.2977
0.6655 0.5000 0.4825
0.8325 0.5000 0.2241
0.8330 0.0000 0.7303
0.0437 0.0000 0.1846
0.0896 0.5000 0.3704
0.2074 0.0000 0.7012
0.2677 0.5000 0.9758
0.4118 0.0000 0.4935
0.4637 0.5000 0.2119
0.5710 0.0000 0.8581
0.5932 0.5000 0.6608
0.7096 0.0000 0.3445
0.7568 0.5000 0.0456
0.8880 0.0000 0.5425
0.9412 0.5000 0.8292